No. 1
DFT (GGA-PBE) results for an optimized crystal structure of Na4NbInSi3O12.

Lattice parameters (Å, degrees): 9.2400 9.2400 22.4875 90.00 90.00 120.00
With the nearest neighbours (Å) after each atom.
Element x y z (fractional)
Nb 0.0000 0.0000 0.6468  6 O 1.98-2.07
Nb 0.0000 0.0000 0.1468  6 O 1.98-2.07
Nb 0.3333 0.6667 0.8135  6 O 1.98-2.07
Nb 0.3333 0.6667 0.3135  6 O 1.98-2.07
Nb 0.6667 0.3333 0.4801  6 O 1.98-2.07
Nb 0.6667 0.3333 0.9801  6 O 1.98-2.07
O 0.1371 0.5010 0.8598  1 Si 1.69
O 0.2999 0.4478 0.4769  1 Si 1.60
O 0.1471 0.4905 0.5790  1 Si 1.61
O 0.1875 0.0328 0.5884  1 Si 1.67
O 0.8453 0.0328 0.0884  1 Si 1.67
O 0.5208 0.8214 0.7551  1 Si 1.67
O 0.6339 0.4880 0.9217  1 Si 1.67
O 0.1786 0.4792 0.2551  1 Si 1.67
O 0.9665 0.1854 0.3102  1 Si 1.60
O 0.1786 0.6995 0.7551  1 Si 1.67
O 0.4804 0.1572 0.2457  1 Si 1.61
O 0.8855 0.3668 0.6436  1 Si 1.60
O 0.1371 0.6361 0.3598  1 Si 1.69
O 0.3005 0.8214 0.2551  1 Si 1.67
O 0.8541 0.4880 0.4217  1 Si 1.67
O 0.6332 0.1145 0.1436  1 Si 1.60
O 0.6972 0.5295 0.5264  1 Si 1.69
O 0.5208 0.6995 0.2551  1 Si 1.67
O 0.8038 0.8343 0.1931  1 Si 1.69
O 0.1875 0.1547 0.0884  1 Si 1.67
O 0.0306 0.1962 0.1931  1 Si 1.69
O 0.1657 0.1962 0.6931  1 Si 1.69
O 0.2189 0.0335 0.3102  1 Si 1.60
O 0.8428 0.5196 0.7457  1 Si 1.61
O 0.4813 0.1145 0.6436  1 Si 1.60
O 0.2189 0.1854 0.8102  1 Si 1.60
O 0.1761 0.9899 0.9124  1 Si 1.61
O 0.4813 0.3668 0.1436  1 Si 1.60
O 0.4990 0.6361 0.8598  1 Si 1.69
O 0.3435 0.4905 0.0790  1 Si 1.61
O 0.5120 0.1459 0.9217  1 Si 1.67
O 0.8453 0.8125 0.5884  1 Si 1.67
O 0.1657 0.9694 0.1931  1 Si 1.69
O 0.4990 0.8629 0.3598  1 Si 1.69
O 0.3005 0.4792 0.7551  1 Si 1.67
O 0.9665 0.7811 0.8102  1 Si 1.60
O 0.3639 0.8629 0.8598  1 Si 1.69
O 0.4705 0.1677 0.5264  1 Si 1.69
O 0.5095 0.6565 0.5790  1 Si 1.61
O 0.8855 0.5187 0.1436  1 Si 1.60
O 0.6339 0.1459 0.4217  1 Si 1.67
O 0.8038 0.9694 0.6931  1 Si 1.69
O 0.1479 0.4478 0.9769  1 Si 1.60
O 0.5120 0.3661 0.4217  1 Si 1.67
O 0.0101 0.8239 0.4124  1 Si 1.61
O 0.1479 0.7001 0.4769  1 Si 1.60
O 0.2999 0.8521 0.9769  1 Si 1.60
O 0.1471 0.6565 0.0790  1 Si 1.61
O 0.8137 0.8239 0.9124  1 Si 1.61
O 0.1761 0.1863 0.4124  1 Si 1.61
O 0.3435 0.8529 0.5790  1 Si 1.61
O 0.8146 0.7811 0.3102  1 Si 1.60
O 0.3639 0.5010 0.3598  1 Si 1.69
O 0.8323 0.3028 0.5264  1 Si 1.69
O 0.8323 0.5295 0.0264  1 Si 1.69
O 0.5522 0.7001 0.9769  1 Si 1.60
O 0.8146 0.0335 0.8102  1 Si 1.60
O 0.6768 0.1572 0.7457  1 Si 1.61
O 0.6768 0.5196 0.2457  1 Si 1.61
O 0.4705 0.3028 0.0264  1 Si 1.69
O 0.0306 0.8343 0.6931  1 Si 1.69
O 0.8541 0.3661 0.9217  1 Si 1.67
O 0.8137 0.9899 0.4124  1 Si 1.61
O 0.4804 0.3232 0.7457  1 Si 1.61
O 0.9672 0.1547 0.5884  1 Si 1.67
O 0.6972 0.1677 0.0264  1 Si 1.69
O 0.8428 0.3232 0.2457  1 Si 1.61
O 0.9672 0.8125 0.0884  1 Si 1.67
O 0.6332 0.5187 0.6436  1 Si 1.60
O 0.5522 0.8521 0.4769  1 Si 1.60
O 0.5095 0.8529 0.0790  1 Si 1.61
O 0.0101 0.1863 0.9124  1 Si 1.61
In 0.3333 0.6667 0.0165  6 O 2.09-2.19
In 0.0000 0.0000 0.8498  6 O 2.09-2.19
In 0.3333 0.6667 0.5165  6 O 2.09-2.19
In 0.0000 0.0000 0.3498  6 O 2.09-2.19
In 0.6667 0.3333 0.1832  6 O 2.09-2.19
In 0.6667 0.3333 0.6832  6 O 2.09-2.19
Na 0.6542 0.9592 0.5807  4 O 2.42-2.54
Na 0.9875 0.3617 0.7474  4 O 2.42-2.54
Na 0.3208 0.0283 0.4141  4 O 2.42-2.54
Na 0.6383 0.6259 0.7474  4 O 2.42-2.54
Na 0.7075 0.0283 0.9141  4 O 2.42-2.54
Na 0.9717 0.2925 0.4141  4 O 2.42-2.54
Na 0.3050 0.9592 0.0807  4 O 2.42-2.54
Na 0.0000 0.0000 0.4953  6 O 2.51-2.64
Na 0.6542 0.6950 0.0807  4 O 2.42-2.54
Na 0.0408 0.3458 0.0807  4 O 2.42-2.54
Na 0.3208 0.2925 0.9141  4 O 2.42-2.54
Na 0.9717 0.6792 0.9141  4 O 2.42-2.54
Na 0.3333 0.6667 0.6619  6 O 2.51-2.64
Na 0.3050 0.3458 0.5807  4 O 2.42-2.54
Na 0.3741 0.3617 0.2474  4 O 2.42-2.54
Na 0.7075 0.6792 0.4141  4 O 2.42-2.54
Na 0.3741 0.0125 0.7474  4 O 2.42-2.54
Na 0.6383 0.0125 0.2474  4 O 2.42-2.54
Na 0.3333 0.6667 0.1619  6 O 2.51-2.64
Na 0.6667 0.3333 0.8286  6 O 2.51-2.64
Na 0.6667 0.3333 0.3286  6 O 2.51-2.64
Na 0.0408 0.6950 0.5807  4 O 2.42-2.54
Na 0.9875 0.6259 0.2474  4 O 2.42-2.54
Na 0.0000 0.0000 0.9953  6 O 2.51-2.64
Si 0.0014 0.2953 0.2512  4 O 1.60-1.69
Si 0.6273 0.9620 0.4179  4 O 1.60-1.69
Si 0.3713 0.3319 0.0845  4 O 1.60-1.69
Si 0.6681 0.0394 0.0845  4 O 1.60-1.69
Si 0.0380 0.6653 0.4179  4 O 1.60-1.69
Si 0.9606 0.3319 0.5845  4 O 1.60-1.69
Si 0.6273 0.6653 0.9179  4 O 1.60-1.69
Si 0.0380 0.3727 0.9179  4 O 1.60-1.69
Si 0.6681 0.6287 0.5845  4 O 1.60-1.69
Si 0.7047 0.9986 0.7512  4 O 1.60-1.69
Si 0.2939 0.9986 0.2512  4 O 1.60-1.69
Si 0.3347 0.9620 0.9179  4 O 1.60-1.69
Si 0.2939 0.2953 0.7512  4 O 1.60-1.69
Si 0.0014 0.7061 0.7512  4 O 1.60-1.69
Si 0.3347 0.3727 0.4179  4 O 1.60-1.69
Si 0.9606 0.6287 0.0845  4 O 1.60-1.69
Si 0.3713 0.0394 0.5845  4 O 1.60-1.69
Si 0.7047 0.7061 0.2512  4 O 1.60-1.69

## Properties
E_form in eV/f.u.: -57.55
Total moment in μB per cell: 0.00
E (MP2020) in eV/f.u.: -151.34



No. 2
DFT (GGA-PBE) results for an optimized crystal structure of Rb3MgNbO8.

Lattice parameters (Å, degrees): 7.1274 7.1274 5.9041 109.67 109.67 60.76
With the nearest neighbours (Å) after each atom.
Element x y z (fractional)
Rb 0.0000 0.0000 0.0000  4 O 2.72-2.78
Rb 0.1724 0.2515 0.6905  6 O 2.82-3.04
Rb 0.7485 0.8276 0.3095  6 O 2.82-3.04
Mg 0.5481 0.4519 0.0000  6 O 2.08-2.17
Nb 0.5240 0.4760 0.5000  6 O 2.01-2.09
O 0.2101 0.5256 0.4747  1 O 1.49
O 0.2702 0.6265 0.7380  1 O 1.49
O 0.3735 0.7298 0.2620  1 O 1.49
O 0.4744 0.7899 0.5253  1 O 1.49
O 0.4907 0.2680 0.1553  1 Mg 2.08, 1 Nb 2.09, 1 O 2.21
O 0.6369 0.2318 0.6755  1 Nb 2.01, 1 Mg 2.09, 1 O 2.21
O 0.7320 0.5093 0.8447  1 Mg 2.08, 1 Nb 2.09, 1 O 2.21
O 0.7682 0.3631 0.3245  1 Nb 2.01, 1 Mg 2.09, 1 O 2.21

## Properties
Relative energy among the computed polymorphs in kJ/mol of formula units: 0
E_form in eV/f.u.: -23.26
Total moment in μB per cell: 2.00
E (MP2020) in eV/f.u.: -77.49
Space group: No. 5



No. 3
DFT (GGA-PBE) results for an optimized crystal structure of CaPt2.

Lattice parameters (Å, degrees): 5.4545 5.4545 8.9561 90.00 90.00 120.00
With the nearest neighbours (Å) after each atom.
Element x y z (fractional)
Ca 0.3333 0.6667 0.0649  12 Pt 3.19-3.22, 4 Ca 3.32-3.36
Ca 0.3333 0.6667 0.4351  12 Pt 3.19-3.22, 4 Ca 3.32-3.36
Ca 0.6667 0.3333 0.5649  12 Pt 3.19-3.22, 4 Ca 3.32-3.36
Ca 0.6667 0.3333 0.9351  12 Pt 3.19-3.22, 4 Ca 3.32-3.36
Pt 0.0000 0.0000 0.0000  6 Pt 2.75
Pt 0.0000 0.0000 0.5000  6 Pt 2.75
Pt 0.1692 0.3383 0.7500  6 Pt 2.69-2.77
Pt 0.1692 0.8308 0.7500  6 Pt 2.69-2.77
Pt 0.3383 0.1692 0.2500  6 Pt 2.69-2.77
Pt 0.6617 0.8308 0.7500  6 Pt 2.69-2.77
Pt 0.8308 0.1692 0.2500  6 Pt 2.69-2.77
Pt 0.8308 0.6617 0.2500  6 Pt 2.69-2.77

## Properties
E_form in eV/f.u.: -2.64
Space group: No. 194